A relaxed BaHg11 crystal. Source: Materials Project, functional PBE.

abc: 10.1579 10.1579 10.1579
angles: 90.00 90.00 90.00
Last column: nearest neighbours and their distance in Å.
Space group Pm-3m (No. 221)
Asymmetric unit:
1 Ba 0.0000 0.0000 0.5000  20 Hg 3.82-4.15
2 Hg 0.0000 0.3442 0.3442  8 Hg 3.16-3.23
3 Hg 0.1528 0.1528 0.1528  6 Hg 3.10-3.16
4 Hg 0.2660 0.2660 0.5000  9 Hg 3.23-3.36
5 Hg 0.5000 0.5000 0.5000  12 Hg 3.36

Computed properties:
**Uncorrected energy**: -0.58 eV per atom
**DFT formation energy**: -0.14 eV/atom

A relaxed Ba2Hg crystal. Source: Materials Project, functional PBE.

abc: 4.2678 4.2678 15.2627
angles: 90.00 90.00 90.00
Last column: nearest neighbours and their distance in Å.
Space group I4/mmm (No. 139)
Asymmetric unit:
1 Ba 0.0000 0.0000 0.1305  4 Hg 3.62, 1 Ba 3.98
2 Hg 0.0000 0.0000 0.5000  8 Ba 3.62

Computed properties:
**Uncorrected energy**: -1.76 eV per atom
**DFT formation energy**: -0.38 eV/atom

A relaxed Ba2InHg crystal. Source: Materials Project, functional PBE.

abc: 8.5258 8.5258 8.5258
angles: 90.00 90.00 90.00
Last column: nearest neighbours and their distance in Å.
Space group Fm-3m (No. 225)
Asymmetric unit:
1 Ba 0.2500 0.2500 0.2500  4 In 3.69, 4 Hg 3.69
2 In 0.0000 0.0000 0.0000  8 Ba 3.69
3 Hg 0.0000 0.0000 0.5000  8 Ba 3.69

Computed properties:
**Uncorrected energy**: -2.19 eV per atom
**DFT formation energy**: -0.47 eV/atom

A relaxed BaHgRuO5 crystal. Source: Materials Project, functional PBE.

abc: 10.3659 10.3659 8.6207
angles: 90.00 90.00 120.00
Last column: nearest neighbours and their distance in Å.
Space group P6_3/m (No. 176)
Asymmetric unit:
1 Ba 0.0000 0.0000 0.0000  6 O 2.86
2 Ba 0.3333 0.6667 0.0166  9 O 2.78-2.96
3 Hg 0.0128 0.6795 0.7500  2 O 2.06
4 Ru 0.0126 0.6703 0.2500  3 O 1.79-1.80
5 O 0.0908 0.2082 0.7500  1 Ru 2.02, 1 Hg 2.06
6 O 0.1079 0.7570 0.0737  1 Ru 1.79
7 O 0.1197 0.5491 0.2500  1 Ru 2.05, 1 Hg 2.06
8 O 0.1636 0.5003 0.7500  1 Ru 1.80

Computed properties:
**Uncorrected energy**: -5.85 eV per atom
**DFT formation energy**: -1.74 eV/atom

A relaxed Ba2HgPb crystal. Source: Materials Project, functional PBE.

abc: 8.5827 8.5827 8.5827
angles: 90.00 90.00 90.00
Last column: nearest neighbours and their distance in Å.
Space group Fm-3m (No. 225)
Asymmetric unit:
1 Ba 0.2500 0.2500 0.2500  4 Pb 3.72, 4 Hg 3.72
2 Hg 0.0000 0.0000 0.0000  8 Ba 3.72
3 Pb 0.0000 0.0000 0.5000  8 Ba 3.72

Computed properties:
**Uncorrected energy**: -2.56 eV per atom
**DFT formation energy**: -0.59 eV/atom

A relaxed BaHgPb crystal. Source: Materials Project, functional PBE.

abc: 12.3255 5.4656 8.5946
angles: 90.00 133.95 90.00
Last column: nearest neighbours and their distance in Å.
Space group C2/m (No. 12)
Asymmetric unit:
1 Ba 0.0352 0.0000 0.2865  6 Hg 3.65-3.92, 6 Pb 3.66-3.98
2 Hg 0.1607 0.5000 0.7116  1 Hg 2.99, 2 Pb 3.14
3 Pb 0.1646 0.5000 0.1069  1 Pb 3.08, 3 Hg 3.14-3.36

Computed properties:
**Uncorrected energy**: -2.48 eV per atom
**DFT formation energy**: -0.50 eV/atom